6
Lattice="2.9401 1.6975 4.6980 -2.9401 1.6975 4.6980 0.0000 -3.3949 4.6980" Properties=species:S:1:pos:R:3 comment="La2MgAl3, optimized geometry, DFT meta-GGA r2SCAN" ef_ev_per_atom=-0.445 space_group=R-3m density_g_cm3=4.5 e_tot_ev_per_cell=-86.525 pbc="T T T"
La 0.0000 0.0000 1.6755
La 0.0000 0.0000 12.4184
Mg 0.0000 0.0000 7.0470
Al -1.4701 -0.8487 4.6980
Al -1.4701 0.8487 9.3959
Al 0.0000 1.6975 4.6980